No. 1
Here is a relaxed Hf4N3 crystal from the Materials Project database. Energies are from GGA-PBE.

Output
- Mass density: 13.41 g/cm³
- DFT total energy: -10.77 eV/atom
- E_form: -1.662 eV per atom
- Crystal system: tetragonal

Cell lengths 4.5318, 4.5318, 9.1187 Å; angles 90.00, 90.00, 90.00 degrees
Closest atoms and distances in Å follow each position.
Space group I4/mmm (No. 139)
Asymmetric unit:
1 Hf 0.0000 0.0000 0.2392 [4 per cell]  5 N 2.18-2.27
2 Hf 0.0000 0.5000 0.0000 [4 per cell]  4 N 2.27-2.28
3 N 0.0000 0.0000 0.0000 [2 per cell]  6 Hf 2.18-2.27
4 N 0.0000 0.5000 0.2500 [4 per cell]  6 Hf 2.27-2.28

---

No. 2
Here is a relaxed HfN2 crystal from the Materials Project database. Energies are from GGA-PBE.

Output
- Mass density: 9.77 g/cm³
- DFT total energy: -9.59 eV/atom
- E_form: -0.954 eV per atom
- Crystal system: hexagonal

Cell lengths 3.2617, 3.2617, 3.8111 Å; angles 90.00, 90.00, 120.00 degrees
Closest atoms and distances in Å follow each position.
Space group P-6m2 (No. 187)
Asymmetric unit:
1 Hf 0.0000 0.0000 0.0000 [1 per cell]  6 N 2.23
2 N 0.3333 0.6667 0.3110 [2 per cell]  1 N 1.44

---

No. 3
Here is a relaxed Hf4N3 crystal from the Materials Project database. Energies are from GGA-PBE.

Output
- Mass density: 13.43 g/cm³
- DFT total energy: -10.78 eV/atom
- E_form: -1.668 eV per atom
- Crystal system: trigonal

Cell lengths 3.1961, 3.1961, 31.6972 Å; angles 90.00, 90.00, 120.00 degrees
Closest atoms and distances in Å follow each position.
Space group R3m (No. 160, hexagonal axes)
Asymmetric unit:
1 Hf 0.0000 0.0000 0.0000 [3 per cell]  3 N 2.29
2 Hf 0.0000 0.0000 0.1654 [3 per cell]  6 N 2.29-2.32
3 Hf 0.0000 0.0000 0.4162 [3 per cell]  3 N 2.23
4 Hf 0.0000 0.0000 0.5847 [3 per cell]  6 N 2.22-2.27
5 N 0.0000 0.0000 0.2903 [3 per cell]  6 Hf 2.22-2.29
6 N 0.0000 0.0000 0.7892 [3 per cell]  6 Hf 2.23-2.29
7 N 0.0000 0.0000 0.8765 [3 per cell]  6 Hf 2.27-2.32

---

No. 4
Here is a relaxed Hf2N crystal from the Materials Project database. Energies are from GGA-PBE.

Output
- Mass density: 13.24 g/cm³
- DFT total energy: -10.66 eV/atom
- E_form: -1.364 eV per atom
- Crystal system: tetragonal

Cell lengths 5.3480, 5.3480, 3.2543 Å; angles 90.00, 90.00, 90.00 degrees
Closest atoms and distances in Å follow each position.
Space group P4_2/mnm (No. 136)
Asymmetric unit:
1 Hf 0.2046 0.2046 0.0000 [4 per cell]  3 N 2.23-2.25
2 N 0.0000 0.0000 0.5000 [2 per cell]  6 Hf 2.23-2.25

---

Q: Among the records above, which one has the highest mass density?
A: number 3